A relaxed structure of Al4Te3N2, computed with PBE.

Summary:
calculated total energy: -5.15 eV/atom
mass density: 4.6 g cm⁻³
SG: Pnma
size of the total moment: 0.000 μB/atom
energy relative to the elements: -0.662 eV/atom

Lattice parameters (Å, degrees): 6.3984 11.1541 10.6083 90.00 90.00 90.00
Fractional coordinates of all 36 atoms:
Al  0.7220  0.2500  0.9583
Al  0.2220  0.2500  0.5417
Al  0.2780  0.7500  0.0417
Al  0.7780  0.7500  0.4583
Al  0.8936  0.2500  0.3920
Al  0.3936  0.2500  0.1080
Al  0.1064  0.7500  0.6080
Al  0.6064  0.7500  0.8920
Al  0.6147  0.5249  0.0998
Al  0.1147  0.9751  0.4002
Al  0.3853  0.0249  0.9002
Al  0.8853  0.4751  0.5998
Al  0.3853  0.4751  0.9002
Al  0.8853  0.0249  0.5998
Al  0.6147  0.9751  0.0998
Al  0.1147  0.5249  0.4002
Te  0.9946  0.2500  0.1509
Te  0.4946  0.2500  0.3491
Te  0.0054  0.7500  0.8491
Te  0.5054  0.7500  0.6509
Te  0.5179  0.5739  0.3402
Te  0.0179  0.9261  0.1598
Te  0.4821  0.0739  0.6598
Te  0.9821  0.4261  0.8402
Te  0.4821  0.4261  0.6598
Te  0.9821  0.0739  0.8402
Te  0.5179  0.9261  0.3402
Te  0.0179  0.5739  0.1598
N  0.4732  0.6238  0.9792
N  0.9732  0.8762  0.5208
N  0.5268  0.1238  0.0208
N  0.0268  0.3762  0.4792
N  0.5268  0.3762  0.0208
N  0.0268  0.1238  0.4792
N  0.4732  0.8762  0.9792
N  0.9732  0.6238  0.5208